# Li2V5CuO12 (PBE+U, optimized geometry)
data_Li2V5CuO12
_chemical_formula_sum 'Li4 V10 Cu2 O24'
_cell_length_a 10.3603
_cell_length_b 9.0670
_cell_length_c 5.8543
_cell_angle_alpha 90.00
_cell_angle_beta 111.00
_cell_angle_gamma 90.00
_space_group_name_H-M_alt 'C 1 2 1'
_space_group_IT_number 5
loop_
_space_group_symop_operation_xyz
'x,y,z'
'-x,y,-z'
'x+1/2,y+1/2,z'
'-x+1/2,y+1/2,-z'
loop_
_atom_site_label
_atom_site_fract_x
_atom_site_fract_y
_atom_site_fract_z
Li1 0.0000 0.0000 0.0000
Li2 0.0000 0.4884 0.5000
V1 0.0000 0.3360 0.0000
V2 0.2038 0.8442 0.4846
V3 0.2071 0.6518 0.9806
Cu1 0.0000 0.1523 0.5000
O1 0.1089 0.1665 0.9226
O2 0.1143 0.3469 0.3871
O3 0.1240 0.4794 0.9295
O4 0.1350 0.7454 0.6771
O5 0.1376 0.0186 0.4364
O6 0.1471 0.7665 0.1873
# E = -7.05 eV/atom